(1)
Material: BaCd11
Method: DFT, r2SCAN
State: optimized geometry

Lattice parameters (Å, degrees): 12.0705 12.0842 7.7756 90.00 90.00 90.00
Space group Imma (No. 74)
Inequivalent atoms, fractional coordinates:
Ba 0.0000 0.2500 0.1251 x4
Cd 0.0000 0.0000 0.5000 x4
Cd 0.0000 0.2500 0.6249 x4
Cd 0.1213 0.0444 0.8228 x16
Cd 0.2053 0.1289 0.4270 x16
Cd 0.2500 0.2500 0.7500 x4

Output
- ρ: 8046 kg/m³
- Total DFT energy (no corrections): -20.83 eV per atom
- E_form: -219 kJ/mol of formula units

---

(2)
Material: Ba7Cd31
Method: DFT, r2SCAN
State: optimized geometry

Lattice parameters (Å, degrees): 10.6624 10.6624 10.4448 90.00 90.00 120.00
Space group P-6m2 (No. 187)
Inequivalent atoms, fractional coordinates:
Ba 0.0000 0.0000 0.0000 x1
Ba 0.1659 0.3318 0.5000 x3
Ba 0.3333 0.6667 0.0000 x1
Ba 0.6667 0.3333 0.2072 x2
Cd 0.0000 0.0000 0.3455 x2
Cd 0.0358 0.5179 0.2634 x6
Cd 0.1656 0.3312 0.1674 x6
Cd 0.2981 0.1491 0.2611 x6
Cd 0.3333 0.6667 0.3507 x2
Cd 0.3914 0.0583 0.0000 x6
Cd 0.4717 0.2359 0.5000 x3

Output
- ρ: 7179 kg/m³
- Total DFT energy (no corrections): -21.53 eV per atom
- E_form: -921 kJ/mol of formula units

---

(3)
Material: BaCdGaF7
Method: DFT, r2SCAN
State: optimized geometry

Lattice parameters (Å, degrees): 13.9122 5.3648 15.0110 90.00 91.78 90.00
Space group C2/c (No. 15)
Inequivalent atoms, fractional coordinates:
Ba 0.1919 0.0354 0.1235 x8
Cd 0.0000 0.4531 0.7500 x4
Cd 0.0000 0.5000 0.0000 x4
Ga 0.1220 0.0110 0.8751 x8
F 0.0051 0.1135 0.6531 x8
F 0.0616 0.3953 0.1292 x8
F 0.0879 0.1571 0.4805 x8
F 0.1232 0.2701 0.3003 x8
F 0.1357 0.3039 0.9505 x8
F 0.1607 0.2194 0.7778 x8
F 0.2482 0.4501 0.5930 x8

Output
- ρ: 5367 kg/m³
- Total DFT energy (no corrections): -11.16 eV per atom
- E_form: -3056 kJ/mol of formula units

---

(4)
Material: BaCdSbF
Method: DFT, r2SCAN
State: optimized geometry

Lattice parameters (Å, degrees): 4.6326 4.6326 9.8064 90.00 90.00 90.00
Space group P4/nmm (No. 129, origin choice 2)
Inequivalent atoms, fractional coordinates:
Ba 0.2500 0.2500 0.1405 x2
Cd 0.2500 0.7500 0.5000 x2
Sb 0.2500 0.2500 0.6846 x2
F 0.2500 0.7500 0.0000 x2

Output
- ρ: 6162 kg/m³
- Total DFT energy (no corrections): -20.83 eV per atom
- E_form: -763 kJ/mol of formula units

---

(5)
Material: BaCdGe
Method: DFT, r2SCAN
State: optimized geometry

Lattice parameters (Å, degrees): 4.7001 4.7001 9.6742 90.00 90.00 120.00
Space group P6_3/mmc (No. 194)
Inequivalent atoms, fractional coordinates:
Ba 0.0000 0.0000 0.0000 x2
Cd 0.3333 0.6667 0.2500 x2
Ge 0.3333 0.6667 0.7500 x2

Output
- ρ: 5785 kg/m³
- Total DFT energy (no corrections): -20.70 eV per atom
- E_form: -157 kJ/mol of formula units

---

(6)
Material: BaCd2Ge2
Method: DFT, r2SCAN
State: optimized geometry

Lattice parameters (Å, degrees): 4.7388 4.7388 11.2704 90.00 90.00 90.00
Space group I4/mmm (No. 139)
Inequivalent atoms, fractional coordinates:
Ba 0.0000 0.0000 0.0000 x2
Cd 0.0000 0.5000 0.2500 x4
Ge 0.0000 0.0000 0.3864 x4

Output
- ρ: 6658 kg/m³
- Total DFT energy (no corrections): -19.28 eV per atom
- E_form: -189 kJ/mol of formula units

---

(7)
Material: BaCd2P2
Method: DFT, r2SCAN
State: optimized geometry

Lattice parameters (Å, degrees): 4.4372 4.4372 7.6149 90.00 90.00 120.00
Space group P-3m1 (No. 164)
Inequivalent atoms, fractional coordinates:
Ba 0.0000 0.0000 0.0000 x1
Cd 0.3333 0.6667 0.6303 x2
P 0.3333 0.6667 0.2684 x2

Output
- ρ: 5424 kg/m³
- Total DFT energy (no corrections): -17.64 eV per atom
- E_form: -338 kJ/mol of formula units

---

(8)
Material: BaCd2Pt
Method: DFT, r2SCAN
State: optimized geometry

Lattice parameters (Å, degrees): 4.4885 11.3158 8.3439 90.00 90.00 90.00
Space group Cmcm (No. 63)
Inequivalent atoms, fractional coordinates:
Ba 0.0000 0.0576 0.2500 x4
Cd 0.0000 0.3391 0.0564 x8
Pt 0.0000 0.2221 0.7500 x4

Output
- ρ: 8733 kg/m³
- Total DFT energy (no corrections): -30.11 eV per atom
- E_form: -215 kJ/mol of formula units

---

Repeat the fifth record exactly.
Material: BaCdGe
Method: DFT, r2SCAN
State: optimized geometry

Lattice parameters (Å, degrees): 4.7001 4.7001 9.6742 90.00 90.00 120.00
Space group P6_3/mmc (No. 194)
Inequivalent atoms, fractional coordinates:
Ba 0.0000 0.0000 0.0000 x2
Cd 0.3333 0.6667 0.2500 x2
Ge 0.3333 0.6667 0.7500 x2

Output
- ρ: 5785 kg/m³
- Total DFT energy (no corrections): -20.70 eV per atom
- E_form: -157 kJ/mol of formula units